Entry 1:
# KYH8N4 (PBE, relaxed)
data_KYH8N4
_chemical_formula_sum 'K2 Y2 H16 N8'
_cell_length_a 9.229
_cell_length_b 9.229
_cell_length_c 6.040
_cell_angle_alpha 78.59
_cell_angle_beta 78.59
_cell_angle_gamma 133.01
_space_group_name_H-M_alt 'P 1'
_space_group_IT_number 1
loop_
_space_group_symop_operation_xyz
'x,y,z'
loop_
_atom_site_label
_atom_site_fract_x
_atom_site_fract_y
_atom_site_fract_z
K1 0.695 0.305 0.250
K2 0.305 0.695 0.750
Y1 0.065 0.935 0.750
Y2 0.935 0.065 0.250
H1 0.665 0.619 0.285
H2 0.789 0.501 0.733
H3 0.873 0.706 0.335
H4 0.381 0.335 0.215
H5 0.957 0.349 0.452
H6 0.651 0.043 0.048
H7 0.294 0.127 0.165
H8 0.501 0.789 0.233
H9 0.499 0.211 0.767
H10 0.706 0.873 0.835
H11 0.349 0.957 0.952
H12 0.043 0.651 0.548
H13 0.619 0.665 0.785
H14 0.127 0.294 0.665
H15 0.211 0.499 0.267
H16 0.335 0.381 0.715
N1 0.947 0.621 0.714
N2 0.836 0.746 0.204
N3 0.621 0.947 0.214
N4 0.254 0.164 0.296
N5 0.746 0.836 0.704
N6 0.379 0.053 0.786
N7 0.164 0.254 0.796
N8 0.053 0.379 0.286
# Raw total energy, eV/atom: -5.41
# Total moment, μB per cell: 0.00
# Crystal system: monoclinic

Entry 2:
# SrEr2O4 (PBE, relaxed)
data_SrEr2O4
_chemical_formula_sum 'Sr1 Er2 O4'
_cell_length_a 3.347
_cell_length_b 5.871
_cell_length_c 7.062
_cell_angle_alpha 83.23
_cell_angle_beta 90.00
_cell_angle_gamma 90.00
_space_group_name_H-M_alt 'P 1'
_space_group_IT_number 1
loop_
_space_group_symop_operation_xyz
'x,y,z'
loop_
_atom_site_label
_atom_site_fract_x
_atom_site_fract_y
_atom_site_fract_z
Sr1 0.000 0.876 0.330
Er1 0.500 0.339 0.597
Er2 0.000 0.789 0.877
O1 0.000 0.058 0.644
O2 0.500 0.582 0.792
O3 0.000 0.485 0.431
O4 0.500 0.882 0.082
# Total moment, μB per cell: 0.00
# Polymorph energy (0 for the lowest one), meV/atom: 290
# Crystal system: monoclinic

Entry 3:
# Ta2ReOs (PBE, relaxed)
data_Ta2ReOs
_chemical_formula_sum 'Ta2 Re1 Os1'
_cell_length_a 4.522
_cell_length_b 4.522
_cell_length_c 4.522
_cell_angle_alpha 60.00
_cell_angle_beta 60.00
_cell_angle_gamma 60.00
_space_group_name_H-M_alt 'P 1'
_space_group_IT_number 1
loop_
_space_group_symop_operation_xyz
'x,y,z'
loop_
_atom_site_label
_atom_site_fract_x
_atom_site_fract_y
_atom_site_fract_z
Ta1 0.250 0.250 0.250
Ta2 0.750 0.750 0.750
Re1 0.000 0.000 0.000
Os1 0.500 0.500 0.500
# Raw total energy, eV/atom: -12.20
# Crystal system: cubic

Entry 4:
# MgTi4S8 (PBE, relaxed)
data_MgTi4S8
_chemical_formula_sum 'Mg1 Ti4 S8'
_cell_length_a 7.171
_cell_length_b 7.180
_cell_length_c 7.180
_cell_angle_alpha 60.06
_cell_angle_beta 60.04
_cell_angle_gamma 60.04
_space_group_name_H-M_alt 'P 1'
_space_group_IT_number 1
loop_
_space_group_symop_operation_xyz
'x,y,z'
loop_
_atom_site_label
_atom_site_fract_x
_atom_site_fract_y
_atom_site_fract_z
Mg1 0.873 0.877 0.877
Ti1 0.492 0.024 0.493
Ti2 0.025 0.492 0.492
Ti3 0.492 0.493 0.024
Ti4 0.491 0.492 0.492
S1 0.739 0.739 0.739
S2 0.254 0.255 0.737
S3 0.254 0.737 0.255
S4 0.736 0.254 0.254
S5 0.255 0.254 0.254
S6 0.738 0.738 0.285
S7 0.283 0.739 0.739
S8 0.738 0.285 0.738
# Total moment, μB per cell: 1.78
# Polymorph energy (0 for the lowest one), meV/atom: 24
# Crystal system: orthorhombic

Entry 5:
# Na6Mg8Ta16Si15S21O144 (PBE, relaxed)
data_Na6Mg8Ta16Si15S21O144
_chemical_formula_sum 'Na6 Mg8 Ta16 Si15 S21 O144'
_cell_length_a 17.620
_cell_length_b 8.805
_cell_length_c 22.775
_cell_angle_alpha 90.00
_cell_angle_beta 89.70
_cell_angle_gamma 119.98
_space_group_name_H-M_alt 'P 1'
_space_group_IT_number 1
loop_
_space_group_symop_operation_xyz
'x,y,z'
loop_
_atom_site_label
_atom_site_fract_x
_atom_site_fract_y
_atom_site_fract_z
Na1 0.997 0.996 0.498
Na2 0.499 0.001 0.001
Na3 0.332 0.332 0.843
Na4 0.837 0.330 0.840
Na5 0.338 0.344 0.339
Na6 0.834 0.345 0.340
Mg1 0.997 0.994 0.347
Mg2 0.502 0.994 0.852
Mg3 0.996 0.988 0.649
Mg4 0.496 0.002 0.150
Mg5 0.330 0.327 0.979
Mg6 0.839 0.330 0.979
Mg7 0.339 0.350 0.478
Mg8 0.831 0.336 0.478
Ta1 0.497 0.998 0.357
Ta2 0.996 0.994 0.858
Ta3 0.504 0.996 0.647
Ta4 0.996 0.001 0.150
Ta5 0.332 0.340 0.685
Ta6 0.836 0.341 0.692
Ta7 0.335 0.332 0.192
Ta8 0.833 0.327 0.189
Ta9 0.162 0.664 0.020
Ta10 0.668 0.670 0.026
Ta11 0.167 0.664 0.524
Ta12 0.663 0.660 0.517
Ta13 0.164 0.664 0.304
Ta14 0.664 0.651 0.310
Ta15 0.163 0.670 0.813
Ta16 0.664 0.666 0.805
Si1 0.140 0.003 0.252
Si2 0.361 0.719 0.248
Si3 0.856 0.712 0.254
Si4 0.996 0.278 0.254
Si5 0.501 0.279 0.247
Si6 0.640 0.279 0.753
Si7 0.004 0.725 0.747
Si8 0.495 0.711 0.754
Si9 0.861 0.002 0.748
Si10 0.336 0.626 0.580
Si11 0.838 0.053 0.080
Si12 0.017 0.375 0.917
Si13 0.171 0.967 0.917
Si14 0.671 0.373 0.415
Si15 0.518 0.660 0.414
S1 0.643 0.999 0.250
S2 0.144 0.287 0.750
S3 0.357 0.000 0.750
S4 0.477 0.332 0.582
S5 0.975 0.328 0.581
S6 0.188 0.048 0.580
S7 0.692 0.046 0.583
S8 0.835 0.624 0.581
S9 0.475 0.623 0.081
S10 0.977 0.622 0.082
S11 0.335 0.045 0.081
S12 0.191 0.335 0.082
S13 0.688 0.326 0.080
S14 0.313 0.672 0.917
S15 0.806 0.661 0.917
S16 0.523 0.379 0.917
S17 0.664 0.951 0.918
S18 0.307 0.952 0.417
S19 0.814 0.958 0.417
S20 0.164 0.376 0.417
S21 0.024 0.669 0.417
O1 0.109 0.052 0.310
O2 0.604 0.034 0.303
O3 0.420 0.802 0.307
O4 0.915 0.773 0.310
O5 0.482 0.159 0.307
O6 0.973 0.167 0.312
O7 0.106 0.177 0.803
O8 0.605 0.165 0.810
O9 0.469 0.777 0.810
O10 0.984 0.807 0.807
O11 0.409 0.041 0.803
O12 0.920 0.037 0.807
O13 0.398 0.976 0.697
O14 0.897 0.968 0.690
O15 0.094 0.219 0.697
O16 0.581 0.195 0.693
O17 0.025 0.835 0.690
O18 0.512 0.832 0.694
O19 0.396 0.824 0.190
O20 0.903 0.833 0.194
O21 0.014 0.197 0.194
O22 0.523 0.212 0.189
O23 0.083 0.969 0.192
O24 0.593 0.970 0.197
O25 0.433 0.358 0.636
O26 0.937 0.361 0.635
O27 0.244 0.123 0.635
O28 0.745 0.129 0.636
O29 0.316 0.497 0.640
O30 0.822 0.514 0.635
O31 0.438 0.513 0.134
O32 0.935 0.510 0.135
O33 0.321 0.126 0.134
O34 0.817 0.138 0.139
O35 0.247 0.365 0.135
O36 0.742 0.364 0.133
O37 0.230 0.309 0.030
O38 0.732 0.312 0.027
O39 0.422 0.540 0.029
O40 0.925 0.547 0.030
O41 0.346 0.154 0.029
O42 0.850 0.163 0.024
O43 0.233 0.154 0.529
O44 0.729 0.152 0.531
O45 0.353 0.539 0.526
O46 0.846 0.537 0.530
O47 0.424 0.300 0.531
O48 0.922 0.304 0.530
O49 0.265 0.689 0.971
O50 0.765 0.689 0.970
O51 0.082 0.473 0.975
O52 0.580 0.469 0.970
O53 0.156 0.835 0.974
O54 0.657 0.838 0.971
O55 0.264 0.840 0.471
O56 0.765 0.842 0.472
O57 0.157 0.477 0.472
O58 0.655 0.474 0.474
O59 0.081 0.687 0.471
O60 0.581 0.689 0.475
O61 0.069 0.650 0.365
O62 0.578 0.657 0.361
O63 0.253 0.864 0.365
O64 0.760 0.875 0.365
O65 0.175 0.488 0.366
O66 0.683 0.502 0.360
O67 0.076 0.500 0.861
O68 0.569 0.489 0.864
O69 0.184 0.861 0.860
O70 0.674 0.860 0.866
O71 0.260 0.647 0.864
O72 0.753 0.641 0.865
O73 0.018 0.829 0.416
O74 0.515 0.841 0.407
O75 0.393 0.962 0.412
O76 0.898 0.964 0.417
O77 0.083 0.209 0.418
O78 0.579 0.190 0.406
O79 0.015 0.190 0.906
O80 0.515 0.205 0.913
O81 0.080 0.968 0.905
O82 0.582 0.955 0.917
O83 0.397 0.836 0.915
O84 0.893 0.825 0.912
O85 0.489 0.180 0.595
O86 0.993 0.184 0.588
O87 0.101 0.028 0.588
O88 0.601 0.024 0.593
O89 0.414 0.821 0.598
O90 0.912 0.800 0.586
O91 0.493 0.803 0.088
O92 0.992 0.800 0.092
O93 0.411 0.021 0.086
O94 0.918 0.016 0.094
O95 0.103 0.182 0.092
O96 0.600 0.174 0.086
O97 0.340 0.151 0.738
O98 0.845 0.174 0.740
O99 0.234 0.299 0.743
O100 0.739 0.314 0.735
O101 0.414 0.508 0.737
O102 0.916 0.524 0.740
O103 0.345 0.516 0.240
O104 0.837 0.513 0.234
O105 0.414 0.305 0.239
O106 0.914 0.316 0.238
O107 0.239 0.165 0.234
O108 0.733 0.164 0.244
O109 0.321 0.515 0.924
O110 0.816 0.507 0.923
O111 0.439 0.372 0.923
O112 0.926 0.368 0.918
O113 0.256 0.154 0.920
O114 0.742 0.123 0.922
O115 0.315 0.123 0.424
O116 0.821 0.129 0.427
O117 0.243 0.362 0.423
O118 0.755 0.356 0.421
O119 0.426 0.485 0.418
O120 0.939 0.507 0.424
O121 0.182 0.496 0.076
O122 0.677 0.490 0.072
O123 0.066 0.636 0.076
O124 0.565 0.634 0.072
O125 0.253 0.866 0.074
O126 0.748 0.850 0.072
O127 0.179 0.867 0.573
O128 0.680 0.867 0.577
O129 0.246 0.644 0.572
O130 0.753 0.638 0.575
O131 0.065 0.497 0.573
O132 0.565 0.493 0.578
O133 0.155 0.833 0.261
O134 0.659 0.854 0.261
O135 0.263 0.686 0.267
O136 0.762 0.703 0.260
O137 0.082 0.476 0.261
O138 0.580 0.479 0.262
O139 0.164 0.469 0.761
O140 0.656 0.479 0.761
O141 0.085 0.686 0.763
O142 0.581 0.689 0.761
O143 0.270 0.839 0.756
O144 0.762 0.840 0.767
# Raw total energy, eV/atom: -7.38
# Total moment, μB per cell: 0.00
# Crystal system: triclinic

Entry 6:
# La3NbO7 (PBE, relaxed)
data_La3NbO7
_chemical_formula_sum 'La6 Nb2 O14'
_cell_length_a 6.782
_cell_length_b 6.782
_cell_length_c 7.855
_cell_angle_alpha 90.00
_cell_angle_beta 90.00
_cell_angle_gamma 111.44
_space_group_name_H-M_alt 'P 1'
_space_group_IT_number 1
loop_
_space_group_symop_operation_xyz
'x,y,z'
loop_
_atom_site_label
_atom_site_fract_x
_atom_site_fract_y
_atom_site_fract_z
La1 0.932 0.478 0.750
La2 0.068 0.522 0.250
La3 0.000 0.000 0.500
La4 0.000 0.000 0.000
La5 0.522 0.068 0.250
La6 0.478 0.932 0.750
Nb1 0.500 0.500 0.000
Nb2 0.500 0.500 0.500
O1 0.563 0.563 0.750
O2 0.437 0.437 0.250
O3 0.847 0.107 0.750
O4 0.153 0.893 0.250
O5 0.107 0.847 0.750
O6 0.893 0.153 0.250
O7 0.438 0.187 0.968
O8 0.562 0.813 0.468
O9 0.187 0.438 0.968
O10 0.813 0.562 0.468
O11 0.438 0.187 0.532
O12 0.562 0.813 0.032
O13 0.813 0.562 0.032
O14 0.187 0.438 0.532
# Polymorph energy (0 for the lowest one), meV/atom: 6
# Crystal system: orthorhombic

Entry 7:
# Ca2SnS4 (PBE, relaxed)
data_Ca2SnS4
_chemical_formula_sum 'Ca8 Sn4 S16'
_cell_length_a 3.784
_cell_length_b 12.579
_cell_length_c 14.018
_cell_angle_alpha 90.00
_cell_angle_beta 90.00
_cell_angle_gamma 90.00
_space_group_name_H-M_alt 'P 1'
_space_group_IT_number 1
loop_
_space_group_symop_operation_xyz
'x,y,z'
loop_
_atom_site_label
_atom_site_fract_x
_atom_site_fract_y
_atom_site_fract_z
Ca1 0.250 0.102 0.914
Ca2 0.250 0.602 0.586
Ca3 0.750 0.898 0.086
Ca4 0.750 0.398 0.414
Ca5 0.250 0.066 0.373
Ca6 0.250 0.566 0.127
Ca7 0.750 0.934 0.627
Ca8 0.750 0.434 0.873
Sn1 0.250 0.777 0.334
Sn2 0.250 0.277 0.166
Sn3 0.750 0.223 0.666
Sn4 0.750 0.723 0.834
S1 0.250 0.293 0.796
S2 0.250 0.793 0.704
S3 0.750 0.707 0.204
S4 0.750 0.207 0.296
S5 0.250 0.369 0.563
S6 0.250 0.869 0.937
S7 0.750 0.631 0.437
S8 0.750 0.131 0.063
S9 0.250 0.936 0.222
S10 0.250 0.436 0.278
S11 0.750 0.064 0.778
S12 0.750 0.564 0.722
S13 0.250 0.104 0.570
S14 0.250 0.604 0.930
S15 0.750 0.896 0.430
S16 0.750 0.396 0.070
# Total moment, μB per cell: 0.00
# Polymorph energy (0 for the lowest one), meV/atom: 314
# Crystal system: orthorhombic

Entry 8:
# BaGaB4H3O10 (PBE, relaxed)
data_BaGaB4H3O10
_chemical_formula_sum 'Ba4 Ga4 B16 H12 O40'
_cell_length_a 7.245
_cell_length_b 7.245
_cell_length_c 19.707
_cell_angle_alpha 74.70
_cell_angle_beta 74.70
_cell_angle_gamma 59.76
_space_group_name_H-M_alt 'P 1'
_space_group_IT_number 1
loop_
_space_group_symop_operation_xyz
'x,y,z'
loop_
_atom_site_label
_atom_site_fract_x
_atom_site_fract_y
_atom_site_fract_z
Ba1 0.967 0.622 0.602
Ba2 0.378 0.033 0.898
Ba3 0.033 0.378 0.398
Ba4 0.622 0.967 0.102
Ga1 0.323 0.969 0.560
Ga2 0.031 0.677 0.940
Ga3 0.677 0.031 0.440
Ga4 0.969 0.323 0.060
B1 0.584 0.109 0.602
B2 0.891 0.416 0.898
B3 0.416 0.891 0.398
B4 0.109 0.584 0.102
B5 0.856 0.248 0.571
B6 0.752 0.144 0.929
B7 0.144 0.752 0.429
B8 0.248 0.856 0.071
B9 0.475 0.506 0.577
B10 0.494 0.525 0.923
B11 0.525 0.494 0.423
B12 0.506 0.475 0.077
B13 0.382 0.947 0.706
B14 0.053 0.618 0.794
B15 0.618 0.053 0.294
B16 0.947 0.382 0.206
H1 0.236 0.844 0.799
H2 0.156 0.764 0.701
H3 0.764 0.156 0.201
H4 0.844 0.236 0.299
H5 0.970 0.222 0.716
H6 0.778 0.030 0.784
H7 0.030 0.778 0.284
H8 0.222 0.970 0.216
H9 0.918 0.396 0.761
H10 0.604 0.082 0.739
H11 0.082 0.604 0.239
H12 0.396 0.918 0.261
O1 0.423 0.339 0.593
O2 0.661 0.577 0.907
O3 0.577 0.661 0.407
O4 0.339 0.423 0.093
O5 0.315 0.711 0.563
O6 0.289 0.685 0.937
O7 0.685 0.289 0.437
O8 0.711 0.315 0.063
O9 0.690 0.463 0.572
O10 0.537 0.310 0.928
O11 0.310 0.537 0.428
O12 0.463 0.690 0.072
O13 0.059 0.228 0.549
O14 0.772 0.941 0.951
O15 0.941 0.772 0.451
O16 0.228 0.059 0.049
O17 0.809 0.079 0.590
O18 0.921 0.191 0.910
O19 0.191 0.921 0.410
O20 0.079 0.809 0.090
O21 0.549 0.002 0.677
O22 0.998 0.451 0.823
O23 0.451 0.998 0.323
O24 0.002 0.549 0.177
O25 0.578 0.994 0.552
O26 0.006 0.422 0.948
O27 0.422 0.006 0.448
O28 0.994 0.578 0.052
O29 0.261 0.939 0.665
O30 0.061 0.739 0.835
O31 0.739 0.061 0.335
O32 0.939 0.261 0.165
O33 0.343 0.902 0.780
O34 0.098 0.657 0.720
O35 0.657 0.098 0.220
O36 0.902 0.343 0.280
O37 0.880 0.375 0.720
O38 0.625 0.120 0.780
O39 0.120 0.625 0.280
O40 0.375 0.880 0.220
# Total moment, μB per cell: 0.00
# Polymorph energy (0 for the lowest one), meV/atom: 1
# Crystal system: monoclinic

Entry 9:
# PrAl3 (PBE, relaxed)
data_PrAl3
_chemical_formula_sum 'Pr1 Al3'
_cell_length_a 4.380
_cell_length_b 4.380
_cell_length_c 4.380
_cell_angle_alpha 90.00
_cell_angle_beta 90.00
_cell_angle_gamma 90.00
_space_group_name_H-M_alt 'P 1'
_space_group_IT_number 1
loop_
_space_group_symop_operation_xyz
'x,y,z'
loop_
_atom_site_label
_atom_site_fract_x
_atom_site_fract_y
_atom_site_fract_z
Pr1 0.000 0.000 0.000
Al1 0.000 0.500 0.500
Al2 0.500 0.000 0.500
Al3 0.500 0.500 0.000
# Raw total energy, eV/atom: -4.35
# Total moment, μB per cell: 0.00
# Crystal system: cubic

Values for ρ, g cm⁻³, ordered as above
1.953; 5.859; 18.755; 2.997; 3.595; 6.140; 3.257; 3.225; 4.383